Mg14CrB | PBE | relaxed

abc: 6.1946 6.1946 10.0375
angles: 90.00 90.00 120.00
Sites, in units of the cell vectors:
Mg 0.1692 0.8346 0.1250
Mg 0.1639 0.8319 0.6250
Mg 0.6654 0.3308 0.1250
Mg 0.6681 0.3361 0.6250
Mg 0.6654 0.8346 0.1250
Mg 0.6681 0.8319 0.6250
Mg 0.3271 0.1729 0.3808
Mg 0.3271 0.1729 0.8692
Mg 0.3271 0.6543 0.3808
Mg 0.3271 0.6543 0.8692
Mg 0.8457 0.1729 0.3808
Mg 0.8457 0.1729 0.8692
Mg 0.8333 0.6667 0.3725
Mg 0.8333 0.6667 0.8775
Cr 0.1667 0.3333 0.1250
B 0.1667 0.3333 0.6250

Energy relative to the elements ... 375 kJ/mol of formula units
Space-group type ... No. 187
Spin magnetization ... 4.64 μB/cell